Below is a relaxed structure of NaCrS2O20, with properties calculated at the GGA+U level.

The structure in CIF format:
```
data_NaCrS2O20
_symmetry_space_group_name_H-M 'P 1'
_symmetry_Int_Tables_number 1
_symmetry_space_group_name_Hall 'P 1'
_cell_length_a 11.487
_cell_length_b 11.487
_cell_length_c 11.487
_cell_angle_alpha 90.00
_cell_angle_beta 90.00
_cell_angle_gamma 90.00
loop_
_atom_site_label
_atom_site_type_symbol
_atom_site_fract_x
_atom_site_fract_y
_atom_site_fract_z
_atom_site_occupancy
Na1 Na 0.000 0.000 0.000 1
Na2 Na 0.000 0.500 0.500 1
Na3 Na 0.500 0.000 0.500 1
Na4 Na 0.500 0.500 0.000 1
Cr1 Cr 0.000 0.000 0.500 1
Cr2 Cr 0.000 0.500 0.000 1
Cr3 Cr 0.500 0.000 0.000 1
Cr4 Cr 0.500 0.500 0.500 1
S1 S 0.192 0.192 0.192 1
S2 S 0.192 0.308 0.692 1
S3 S 0.308 0.692 0.192 1
S4 S 0.308 0.808 0.692 1
S5 S 0.692 0.192 0.308 1
S6 S 0.692 0.308 0.808 1
S7 S 0.808 0.692 0.308 1
S8 S 0.808 0.808 0.808 1
O1 O 0.023 0.586 0.744 1
O2 O 0.023 0.914 0.244 1
O3 O 0.024 0.681 0.025 1
O4 O 0.024 0.819 0.525 1
O5 O 0.025 0.024 0.681 1
O6 O 0.025 0.476 0.181 1
O7 O 0.070 0.176 0.238 1
O8 O 0.070 0.324 0.738 1
O9 O 0.086 0.744 0.477 1
O10 O 0.086 0.756 0.977 1
O11 O 0.176 0.238 0.070 1
O12 O 0.176 0.262 0.570 1
O13 O 0.181 0.025 0.476 1
O14 O 0.181 0.475 0.976 1
O15 O 0.236 0.736 0.764 1
O16 O 0.236 0.764 0.264 1
O17 O 0.238 0.070 0.176 1
O18 O 0.238 0.430 0.676 1
O19 O 0.244 0.023 0.914 1
O20 O 0.244 0.477 0.414 1
O21 O 0.256 0.523 0.914 1
O22 O 0.256 0.977 0.414 1
O23 O 0.262 0.570 0.176 1
O24 O 0.262 0.930 0.676 1
O25 O 0.264 0.236 0.764 1
O26 O 0.264 0.264 0.264 1
O27 O 0.319 0.525 0.476 1
O28 O 0.319 0.975 0.976 1
O29 O 0.324 0.738 0.070 1
O30 O 0.324 0.762 0.570 1
O31 O 0.414 0.244 0.477 1
O32 O 0.414 0.256 0.977 1
O33 O 0.430 0.676 0.238 1
O34 O 0.430 0.824 0.738 1
O35 O 0.475 0.524 0.681 1
O36 O 0.475 0.976 0.181 1
O37 O 0.476 0.181 0.025 1
O38 O 0.476 0.319 0.525 1
O39 O 0.477 0.086 0.744 1
O40 O 0.477 0.414 0.244 1
O41 O 0.523 0.586 0.756 1
O42 O 0.523 0.914 0.256 1
O43 O 0.524 0.681 0.475 1
O44 O 0.524 0.819 0.975 1
O45 O 0.525 0.024 0.819 1
O46 O 0.525 0.476 0.319 1
O47 O 0.570 0.176 0.262 1
O48 O 0.570 0.324 0.762 1
O49 O 0.586 0.744 0.023 1
O50 O 0.586 0.756 0.523 1
O51 O 0.676 0.238 0.430 1
O52 O 0.676 0.262 0.930 1
O53 O 0.681 0.025 0.024 1
O54 O 0.681 0.475 0.524 1
O55 O 0.736 0.736 0.736 1
O56 O 0.736 0.764 0.236 1
O57 O 0.738 0.070 0.324 1
O58 O 0.738 0.430 0.824 1
O59 O 0.744 0.023 0.586 1
O60 O 0.744 0.477 0.086 1
O61 O 0.756 0.523 0.586 1
O62 O 0.756 0.977 0.086 1
O63 O 0.762 0.570 0.324 1
O64 O 0.762 0.930 0.824 1
O65 O 0.764 0.236 0.736 1
O66 O 0.764 0.264 0.236 1
O67 O 0.819 0.525 0.024 1
O68 O 0.819 0.975 0.524 1
O69 O 0.824 0.738 0.430 1
O70 O 0.824 0.762 0.930 1
O71 O 0.914 0.244 0.023 1
O72 O 0.914 0.256 0.523 1
O73 O 0.930 0.676 0.262 1
O74 O 0.930 0.824 0.762 1
O75 O 0.975 0.524 0.819 1
O76 O 0.975 0.976 0.319 1
O77 O 0.976 0.181 0.475 1
O78 O 0.976 0.319 0.975 1
O79 O 0.977 0.086 0.756 1
O80 O 0.977 0.414 0.256 1
```

Calculated values
Density ... 2.01 g/cm3
Final energy ... -509.81 eV/cell
Magnetization ... 20.00 Bohr magnetons per cell
Space-group type ... No. 205
ΔH_f (0 K) ... -0.60 eV per atom

Below is a relaxed structure of NaCrS2O8, with properties calculated at the GGA+U level.

The structure in CIF format:
```
data_NaCrS2O8
_symmetry_space_group_name_H-M 'P 1'
_symmetry_Int_Tables_number 1
_symmetry_space_group_name_Hall 'P 1'
_cell_length_a 14.273
_cell_length_b 5.164
_cell_length_c 8.238
_cell_angle_alpha 90.00
_cell_angle_beta 90.00
_cell_angle_gamma 90.00
loop_
_atom_site_label
_atom_site_type_symbol
_atom_site_fract_x
_atom_site_fract_y
_atom_site_fract_z
_atom_site_occupancy
Na1 Na 0.084 0.250 0.079 1
Na2 Na 0.416 0.750 0.579 1
Na3 Na 0.584 0.250 0.421 1
Na4 Na 0.916 0.750 0.921 1
Cr1 Cr 0.152 0.250 0.501 1
Cr2 Cr 0.348 0.750 0.001 1
Cr3 Cr 0.652 0.250 0.999 1
Cr4 Cr 0.848 0.750 0.499 1
S1 S 0.058 0.750 0.304 1
S2 S 0.163 0.750 0.753 1
S3 S 0.337 0.250 0.253 1
S4 S 0.442 0.250 0.804 1
S5 S 0.558 0.750 0.196 1
S6 S 0.663 0.750 0.747 1
S7 S 0.837 0.250 0.247 1
S8 S 0.942 0.250 0.696 1
O1 O 0.018 0.250 0.574 1
O2 O 0.026 0.750 0.136 1
O3 O 0.063 0.750 0.782 1
O4 O 0.118 0.514 0.329 1
O5 O 0.118 0.986 0.329 1
O6 O 0.196 0.516 0.661 1
O7 O 0.196 0.984 0.661 1
O8 O 0.214 0.750 0.913 1
O9 O 0.286 0.250 0.413 1
O10 O 0.304 0.016 0.161 1
O11 O 0.304 0.484 0.161 1
O12 O 0.382 0.014 0.829 1
O13 O 0.382 0.486 0.829 1
O14 O 0.437 0.250 0.282 1
O15 O 0.474 0.250 0.636 1
O16 O 0.482 0.750 0.074 1
O17 O 0.518 0.250 0.926 1
O18 O 0.526 0.750 0.364 1
O19 O 0.563 0.750 0.718 1
O20 O 0.618 0.514 0.171 1
O21 O 0.618 0.986 0.171 1
O22 O 0.696 0.516 0.839 1
O23 O 0.696 0.984 0.839 1
O24 O 0.714 0.750 0.587 1
O25 O 0.786 0.250 0.087 1
O26 O 0.804 0.016 0.339 1
O27 O 0.804 0.484 0.339 1
O28 O 0.882 0.014 0.671 1
O29 O 0.882 0.486 0.671 1
O30 O 0.937 0.250 0.218 1
O31 O 0.974 0.250 0.864 1
O32 O 0.982 0.750 0.426 1
```

Calculated values
Density ... 2.92 g/cm3
Final energy ... -304.09 eV/cell
Magnetization ... 12.00 Bohr magnetons per cell
Offset from the most stable computed form ... 28 meV per atom
Space-group type ... No. 62
ΔH_f (0 K) ... -2.06 eV per atom

Below is a relaxed structure of NaCrS2O8, with properties calculated at the GGA+U level.

The structure in CIF format:
```
data_NaCrS2O8
_symmetry_space_group_name_H-M 'P 1'
_symmetry_Int_Tables_number 1
_symmetry_space_group_name_Hall 'P 1'
_cell_length_a 4.815
_cell_length_b 4.815
_cell_length_c 7.472
_cell_angle_alpha 92.50
_cell_angle_beta 92.50
_cell_angle_gamma 65.23
loop_
_atom_site_label
_atom_site_type_symbol
_atom_site_fract_x
_atom_site_fract_y
_atom_site_fract_z
_atom_site_occupancy
Na1 Na 0.000 0.000 0.000 1
Cr1 Cr 0.000 0.000 0.500 1
S1 S 0.365 0.365 0.712 1
S2 S 0.635 0.635 0.288 1
O1 O 0.238 0.708 0.695 1
O2 O 0.242 0.242 0.557 1
O3 O 0.292 0.762 0.305 1
O4 O 0.296 0.296 0.887 1
O5 O 0.704 0.704 0.113 1
O6 O 0.708 0.238 0.695 1
O7 O 0.758 0.758 0.443 1
O8 O 0.762 0.292 0.305 1
```

Calculated values
Density ... 2.82 g/cm3
Final energy ... -76.35 eV/cell
Magnetization ... 3.00 Bohr magnetons per cell
Offset from the most stable computed form ... 0 meV per atom
Space-group type ... No. 12
ΔH_f (0 K) ... -2.08 eV per atom

Below is a relaxed structure of NbCrO4, with properties calculated at the GGA+U level.

The structure in CIF format:
```
data_NbCrO4
_symmetry_space_group_name_H-M 'P 1'
_symmetry_Int_Tables_number 1
_symmetry_space_group_name_Hall 'P 1'
_cell_length_a 3.959
_cell_length_b 3.959
_cell_length_c 9.703
_cell_angle_alpha 90.00
_cell_angle_beta 90.00
_cell_angle_gamma 90.00
loop_
_atom_site_label
_atom_site_type_symbol
_atom_site_fract_x
_atom_site_fract_y
_atom_site_fract_z
_atom_site_occupancy
Nb1 Nb 0.000 0.000 0.000 1
Nb2 Nb 0.500 0.500 0.500 1
Cr1 Cr 0.000 0.500 0.250 1
Cr2 Cr 0.500 0.000 0.750 1
O1 O 0.000 0.000 0.207 1
O2 O 0.000 0.000 0.793 1
O3 O 0.000 0.500 0.040 1
O4 O 0.000 0.500 0.460 1
O5 O 0.500 0.000 0.540 1
O6 O 0.500 0.000 0.960 1
O7 O 0.500 0.500 0.293 1
O8 O 0.500 0.500 0.707 1
```

Calculated values
Density ... 4.56 g/cm3
Final energy ... -102.17 eV/cell
Magnetization ... 6.00 Bohr magnetons per cell
Space-group type ... No. 119
Largest piezoelectric modulus ... 3.54 C/m²
ΔH_f (0 K) ... -2.71 eV per atom

Below is a relaxed structure of NbCrO4, with properties calculated at the GGA+U level.

The structure in CIF format:
```
data_NbCrO4
_symmetry_space_group_name_H-M 'P 1'
_symmetry_Int_Tables_number 1
_symmetry_space_group_name_Hall 'P 1'
_cell_length_a 3.099
_cell_length_b 13.150
_cell_length_c 6.705
_cell_angle_alpha 90.00
_cell_angle_beta 90.00
_cell_angle_gamma 90.00
loop_
_atom_site_label
_atom_site_type_symbol
_atom_site_fract_x
_atom_site_fract_y
_atom_site_fract_z
_atom_site_occupancy
Nb1 Nb 0.000 0.000 0.000 1
Nb2 Nb 0.000 0.250 0.500 1
Nb3 Nb 0.000 0.500 0.000 1
Nb4 Nb 0.000 0.750 0.500 1
Cr1 Cr 0.500 0.750 0.000 1
Cr2 Cr 0.500 0.000 0.500 1
Cr3 Cr 0.500 0.250 0.000 1
Cr4 Cr 0.500 0.500 0.500 1
O1 O 0.000 0.348 0.000 1
O2 O 0.000 0.598 0.500 1
O3 O 0.000 0.848 0.000 1
O4 O 0.000 0.098 0.500 1
O5 O 0.000 0.152 0.000 1
O6 O 0.000 0.402 0.500 1
O7 O 0.000 0.652 0.000 1
O8 O 0.000 0.902 0.500 1
O9 O 0.500 0.250 0.695 1
O10 O 0.500 0.500 0.195 1
O11 O 0.500 0.750 0.695 1
O12 O 0.500 0.000 0.195 1
O13 O 0.500 0.250 0.305 1
O14 O 0.500 0.500 0.805 1
O15 O 0.500 0.750 0.305 1
O16 O 0.500 0.000 0.805 1
```

Calculated values
Density ... 5.08 g/cm3
Final energy ... -204.70 eV/cell
Magnetization ... 0.00 Bohr magnetons per cell
ΔH_f (0 K) ... -2.73 eV per atom